A plane-wave DFT calculation with GGA+U was carried out for an optimized crystal structure of MgCr2Fe3NiP6O24.

## Properties
Electronic total energy (eV for the cell shown): -257.46
V (Å³ per atom): 12.25

a = 8.7551 Å, b = 8.4435 Å, c = 8.4838 Å
α = 61.74°, β = 60.31°, γ = 60.93°
Last column: nearest neighbours and their distance in Å.
Sites, in units of the cell vectors:
Ni (0.8466, 0.8636, 0.8573)  5 O 1.97-2.09
O (0.7748, 0.4014, 0.5695)  1 P 1.53
O (0.4072, 0.5610, 0.7505)  1 P 1.55
Mg (0.1253, 0.3771, 0.7588)  5 O 2.08-2.24
O (0.1785, 0.3937, 0.9627)  1 P 1.57
O (0.4095, 0.9896, 0.1726)  1 P 1.54
O (0.6013, 0.0173, 0.8123)  1 P 1.49
O (0.2456, 0.0721, 0.9066)  1 P 1.63
O (0.3060, 0.4684, 0.1178)  1 P 1.52
O (0.4868, 0.8933, 0.6819)  1 P 1.51
O (0.0570, 0.9189, 0.2449)  1 P 1.60
O (0.1061, 0.3186, 0.5573)  1 P 1.56
P (0.0286, 0.7647, 0.4513)  4 O 1.50-1.60
O (0.0451, 0.1889, 0.3884)  1 P 1.53
O (0.2159, 0.5917, 0.4494)  1 P 1.58
Cr (0.5143, 0.4945, 0.4924)  5 O 2.13-2.34
O (0.5911, 0.4323, 0.2424)  1 P 1.57
O (0.4142, 0.2587, 0.6039)  1 P 1.61
O (0.9469, 0.0846, 0.7583)  1 P 1.56
O (0.8746, 0.7007, 0.4895)  1 P 1.52
P (0.7382, 0.4590, 0.0360)  4 O 1.51-1.61
O (0.6536, 0.5043, 0.8944)  1 P 1.52
P (0.4549, 0.0466, 0.7501)  4 O 1.49-1.63
Fe (0.3530, 0.3588, 0.3488)  5 O 1.89-2.10
O (0.9926, 0.8418, 0.5980)  1 P 1.50
P (0.9661, 0.2492, 0.5658)  4 O 1.53-1.56
O (0.7502, 0.9448, 0.0964)  1 P 1.56
P (0.2473, 0.5435, 0.9467)  4 O 1.52-1.57
O (0.4923, 0.1058, 0.3350)  1 P 1.52
Fe (0.1675, 0.1295, 0.1571)  5 O 1.89-2.11
O (0.8243, 0.6023, 0.9838)  1 P 1.51
P (0.5533, 0.9503, 0.2524)  4 O 1.52-1.56
Cr (0.9949, 0.9940, 0.0040)  6 O 2.04-2.24
Fe (0.6409, 0.6476, 0.6413)  6 O 1.93-2.12
O (0.5707, 0.7488, 0.4019)  1 P 1.56
O (0.0929, 0.7404, 0.9492)  1 P 1.55
O (0.9101, 0.2638, 0.0212)  1 P 1.61